# 1
First-principles (PBE with a Hubbard U) data for a geometry-optimized Li2MnSiO4 structure, as listed in the Materials Project.

a b c (Å): 5.045 8.738 11.825
angles (deg): 89.99 90.00 90.00
Fractional positions:
Li 0.883 0.445 0.586
Li 0.382 0.945 0.586
Li 0.891 0.219 0.919
Li 0.391 0.719 0.919
Li 0.226 0.336 0.253
Li 0.726 0.836 0.253
Li 0.382 0.055 0.081
Li 0.882 0.555 0.081
Li 0.391 0.281 0.747
Li 0.891 0.781 0.747
Li 0.726 0.164 0.414
Li 0.226 0.664 0.414
Mn 0.273 0.727 0.167
Mn 0.273 0.273 0.500
Mn 0.954 0.500 0.833
Mn 0.773 0.227 0.167
Mn 0.773 0.773 0.500
Mn 0.454 0.000 0.833
Si 0.899 0.102 0.667
Si 0.398 0.602 0.667
Si 0.203 0.000 0.333
Si 0.703 0.500 0.333
Si 0.398 0.398 0.000
Si 0.898 0.898 0.000
O 0.716 0.421 0.968
O 0.216 0.921 0.968
O 0.011 0.148 0.301
O 0.511 0.648 0.301
O 0.216 0.079 0.699
O 0.716 0.579 0.699
O 0.273 0.432 0.634
O 0.773 0.932 0.634
O 0.511 0.352 0.365
O 0.011 0.852 0.366
O 0.773 0.068 0.032
O 0.273 0.568 0.032
O 0.879 0.220 0.558
O 0.379 0.720 0.558
O 0.891 0.450 0.225
O 0.391 0.950 0.225
O 0.230 0.329 0.891
O 0.730 0.829 0.891
O 0.379 0.280 0.109
O 0.879 0.780 0.109
O 0.391 0.050 0.442
O 0.891 0.550 0.442
O 0.730 0.171 0.775
O 0.230 0.671 0.775

Results
Calculated total energy = -329.1 eV for the cell shown
Distance to the lowest polymorph of the same formula = 0.452 eV per formula unit
Energy of formation from the pure elements = -21.07 eV per formula unit
Size of the total moment = 0.0 μB/cell

# 2
First-principles (PBE with a Hubbard U) data for a geometry-optimized Li3MnV4O12 structure, as listed in the Materials Project.

a b c (Å): 5.033 5.411 7.380
angles (deg): 94.95 90.94 90.98
Fractional positions:
Li 0.000 0.000 0.000
Li 0.007 0.002 0.492
Li 0.508 0.509 0.496
Mn 0.506 0.523 0.990
V 0.013 0.441 0.288
V 0.500 0.936 0.766
V 0.503 0.953 0.280
V 0.995 0.422 0.781
O 0.142 0.392 0.040
O 0.196 0.709 0.360
O 0.200 0.081 0.735
O 0.315 0.206 0.363
O 0.334 0.596 0.757
O 0.378 0.906 0.057
O 0.625 0.895 0.547
O 0.676 0.579 0.232
O 0.698 0.198 0.864
O 0.797 0.702 0.875
O 0.814 0.089 0.246
O 0.890 0.398 0.551

Results
Calculated total energy = -140.9 eV for the cell shown
Distance to the lowest polymorph of the same formula = 0.541 eV per formula unit
Space group = P1 (1)
Energy of formation from the pure elements = -47.05 eV per formula unit
Size of the total moment = 6.0 μB/cell

# 3
First-principles (PBE with a Hubbard U) data for a geometry-optimized Ti3Co3Te2O16 structure, as listed in the Materials Project.

a b c (Å): 6.032 6.032 9.298
angles (deg): 91.28 91.28 59.68
Fractional positions:
Ti 0.000 0.000 0.000
Ti 0.327 0.822 0.497
Ti 0.822 0.327 0.497
Co 0.334 0.334 0.499
Co 0.510 0.998 0.992
Co 0.998 0.510 0.992
Te 0.493 0.493 0.218
Te 0.824 0.824 0.719
O 0.118 0.695 0.858
O 0.155 0.155 0.413
O 0.165 0.165 0.913
O 0.210 0.653 0.358
O 0.332 0.807 0.104
O 0.333 0.333 0.114
O 0.511 0.980 0.606
O 0.513 0.513 0.604
O 0.639 0.639 0.361
O 0.653 0.210 0.358
O 0.686 0.686 0.861
O 0.695 0.118 0.858
O 0.807 0.332 0.104
O 0.835 0.835 0.096
O 0.980 0.511 0.606
O 0.981 0.981 0.601

Results
Calculated total energy = -164.3 eV for the cell shown
Space group = Cm (8)
Energy of formation from the pure elements = -49.79 eV per formula unit
Size of the total moment = 11.0 μB/cell

# 4
First-principles (PBE with a Hubbard U) data for a geometry-optimized Li4Co3O7 structure, as listed in the Materials Project.

a b c (Å): 10.712 10.712 8.153
angles (deg): 101.73 101.73 15.78
Fractional positions:
Li 0.000 0.000 0.000
Li 0.000 0.000 0.500
Li 0.142 0.142 0.575
Li 0.286 0.286 0.147
Li 0.431 0.431 0.703
Li 0.569 0.569 0.297
Li 0.714 0.714 0.853
Li 0.858 0.858 0.425
Co 0.143 0.143 0.072
Co 0.289 0.289 0.639
Co 0.430 0.430 0.227
Co 0.570 0.570 0.773
Co 0.711 0.711 0.361
Co 0.857 0.857 0.928
O 0.006 0.006 0.754
O 0.138 0.138 0.823
O 0.143 0.143 0.320
O 0.282 0.282 0.400
O 0.289 0.289 0.882
O 0.425 0.425 0.985
O 0.428 0.428 0.439
O 0.572 0.572 0.561
O 0.575 0.575 0.015
O 0.711 0.711 0.118
O 0.718 0.718 0.600
O 0.857 0.857 0.680
O 0.862 0.862 0.177
O 0.994 0.994 0.246

Results
Calculated total energy = -154.8 eV for the cell shown
Distance to the lowest polymorph of the same formula = 0.416 eV per formula unit
Space group = C2/m (12)
Energy of formation from the pure elements = -23.54 eV per formula unit
Size of the total moment = 2.0 μB/cell

# 5
First-principles (PBE with a Hubbard U) data for a geometry-optimized YTaW2O8 structure, as listed in the Materials Project.

a b c (Å): 5.112 5.605 6.175
angles (deg): 104.47 90.83 105.51
Fractional positions:
Y 0.000 0.000 0.000
Ta 0.514 0.016 0.509
W 0.273 0.499 0.687
W 0.773 0.531 0.372
O 0.195 0.709 0.468
O 0.220 0.717 0.959
O 0.323 0.180 0.768
O 0.372 0.235 0.356
O 0.669 0.787 0.687
O 0.715 0.840 0.273
O 0.835 0.316 0.103
O 0.847 0.314 0.589

Results
Calculated total energy = -100.6 eV for the cell shown
Distance to the lowest polymorph of the same formula = 2.280 eV per formula unit
Space group = P1 (1)
Energy of formation from the pure elements = -31.19 eV per formula unit
Size of the total moment = 4.0 μB/cell

# 6
First-principles (PBE with a Hubbard U) data for a geometry-optimized Eu3FeO6 structure, as listed in the Materials Project.

a b c (Å): 7.392 7.392 5.590
angles (deg): 90.00 90.00 102.92
Fractional positions:
Eu 0.105 0.895 0.500
Eu 0.200 0.414 0.539
Eu 0.414 0.200 0.039
Eu 0.586 0.800 0.539
Eu 0.800 0.586 0.039
Eu 0.895 0.105 0.000
Fe 0.308 0.692 0.075
Fe 0.692 0.308 0.575
O 0.084 0.609 0.249
O 0.145 0.175 0.272
O 0.175 0.145 0.772
O 0.287 0.713 0.741
O 0.391 0.916 0.249
O 0.456 0.544 0.217
O 0.544 0.456 0.717
O 0.609 0.084 0.749
O 0.713 0.287 0.241
O 0.825 0.855 0.272
O 0.855 0.825 0.772
O 0.916 0.391 0.749

Results
Calculated total energy = -181.1 eV for the cell shown
Space group = Cmc2_1 (36)
Energy of formation from the pure elements = -27.98 eV per formula unit
Size of the total moment = 46.0 μB/cell